Crystalline BaCaEuNbO6 at its relaxed geometry. Source: the Materials Project database, functional PBE.

Cell lengths 8.471, 8.483, 8.513 Å; angles 90.00, 90.00, 90.00 degrees
Space group Pnnn (No. 48, origin choice 2)
Unique sites:
Ba 0.250 0.250 0.250 (multiplicity 2)
Ba 0.250 0.750 0.750 (multiplicity 2)
Ca 0.000 0.000 0.000 (multiplicity 4)
Eu 0.250 0.250 0.750 (multiplicity 2)
Eu 0.250 0.750 0.250 (multiplicity 2)
Nb 0.000 0.000 0.500 (multiplicity 4)
O 0.033 0.234 0.470 (multiplicity 8)
O 0.061 0.037 0.733 (multiplicity 8)
O 0.232 0.547 0.056 (multiplicity 8)

Properties
Total magnetization = 6.00 μB per formula unit
Offset from the most stable computed form = 4.1 meV per atom
DFT formation energy = -3195 meV per atom

***

Crystalline BaRu2N4 at its relaxed geometry. Source: the Materials Project database, functional PBE.

Cell lengths 11.165, 11.165, 11.165 Å; angles 90.00, 90.00, 90.00 degrees
Space group Pa-3 (No. 205)
Unique sites:
Ba 0.000 0.000 0.000 (multiplicity 4)
Ba 0.124 0.624 0.876 (multiplicity 8)
Ru 0.114 0.197 0.352 (multiplicity 24)
N 0.016 0.078 0.278 (multiplicity 24)
N 0.130 0.161 0.771 (multiplicity 24)

Properties
Total magnetization = 0.00 μB per formula unit
DFT formation energy = -150 meV per atom